A geometry-optimized Zr6FeS2 structure. Source: Materials Project, functional PBE-GGA.

Cell: 3.4435 12.7201 15.7003 Å, 90.00 90.00 90.00°
With the nearest neighbours (Å) after each atom.
Fractional positions:
Zr 0.0000 0.0262 0.1053  2 S 2.80-2.94, 1 Fe 2.97
Zr 0.0000 0.9738 0.8947  2 S 2.80-2.94, 1 Fe 2.97
Zr 0.5000 0.4738 0.6053  2 S 2.80-2.94, 1 Fe 2.97
Zr 0.5000 0.5262 0.3947  2 S 2.80-2.94, 1 Fe 2.97
Zr 0.0000 0.4162 0.2500  4 S 2.65
Zr 0.0000 0.5838 0.7500  4 S 2.65
Zr 0.5000 0.0838 0.7500  4 S 2.65
Zr 0.5000 0.9162 0.2500  4 S 2.65
Zr 0.0000 0.0885 0.5801  2 Fe 2.60, 1 S 2.84
Zr 0.0000 0.9115 0.4199  2 Fe 2.60, 1 S 2.84
Zr 0.5000 0.4115 0.0801  2 Fe 2.60, 1 S 2.84
Zr 0.5000 0.5885 0.9199  2 Fe 2.60, 1 S 2.84
Zr 0.0000 0.3307 0.4838  2 Fe 2.64, 2 S 2.76
Zr 0.0000 0.6693 0.5162  2 Fe 2.64, 2 S 2.76
Zr 0.5000 0.1693 0.9838  2 Fe 2.64, 2 S 2.76
Zr 0.5000 0.8307 0.0162  2 Fe 2.64, 2 S 2.76
Zr 0.0000 0.6976 0.2954  2 Fe 2.63, 3 S 2.68-2.74
Zr 0.0000 0.3024 0.7046  2 Fe 2.63, 3 S 2.68-2.74
Zr 0.5000 0.8024 0.7954  2 Fe 2.63, 3 S 2.68-2.74
Zr 0.5000 0.1976 0.2046  2 Fe 2.63, 3 S 2.68-2.74
Zr 0.0000 0.6212 0.0856  3 S 2.66-2.70
Zr 0.0000 0.3788 0.9144  3 S 2.66-2.70
Zr 0.5000 0.8788 0.5856  3 S 2.66-2.70
Zr 0.5000 0.1212 0.4144  3 S 2.66-2.70
Fe 0.0000 0.2587 0.0885  6 Zr 2.60-2.64
Fe 0.0000 0.7413 0.9115  6 Zr 2.60-2.64
Fe 0.5000 0.2413 0.5885  6 Zr 2.60-2.64
Fe 0.5000 0.7587 0.4115  6 Zr 2.60-2.64
S 0.0000 0.0666 0.2896  8 Zr 2.65-2.94
S 0.0000 0.9334 0.7104  8 Zr 2.65-2.94
S 0.5000 0.4334 0.7896  8 Zr 2.65-2.94
S 0.5000 0.5666 0.2104  8 Zr 2.65-2.94
S 0.0000 0.8136 0.1526  7 Zr 2.65-2.80
S 0.0000 0.1864 0.8474  7 Zr 2.65-2.80
S 0.5000 0.6864 0.6526  7 Zr 2.65-2.80
S 0.5000 0.3136 0.3474  7 Zr 2.65-2.80

Calculated values
space group	No. 58
crystal system	orthorhombic
E_form	-20.87	kcal/mol of atoms